1.
Computed, not measured: a relaxed structure of Ti4Cu2O at the PBE-GGA level of DFT.

Summary:
Magnetic moment   0.027 μB per atom
E_tot   -200.0 eV for the cell shown
Crystal system   cubic
Formation energy from the elements   -0.851 eV per atom
Offset from the most stable computed form   0.123 eV per atom

Cell: 8.1095 8.1095 8.1095 Å, 60.00 60.00 60.00°
Fractional coordinates of all 28 atoms:
Ti  0.0701  0.0701  0.4299
Ti  0.4299  0.0701  0.4299
Ti  0.0701  0.4299  0.4299
Ti  0.4299  0.4299  0.0701
Ti  0.0701  0.4299  0.0701
Ti  0.4299  0.0701  0.0701
Ti  0.1848  0.1848  0.8152
Ti  0.8152  0.1848  0.8152
Ti  0.1848  0.8152  0.8152
Ti  0.8152  0.8152  0.1848
Ti  0.1848  0.8152  0.1848
Ti  0.8152  0.1848  0.1848
Ti  0.8335  0.8335  0.4995
Ti  0.8335  0.4995  0.8335
Ti  0.4995  0.8335  0.8335
Ti  0.8335  0.8335  0.8335
Cu  0.6209  0.6209  0.1374
Cu  0.6209  0.1374  0.6209
Cu  0.1374  0.6209  0.6209
Cu  0.6209  0.6209  0.6209
Cu  0.4153  0.4153  0.7542
Cu  0.4153  0.7542  0.4153
Cu  0.7542  0.4153  0.4153
Cu  0.4153  0.4153  0.4153
O  0.1246  0.1246  0.6264
O  0.1246  0.6264  0.1246
O  0.6264  0.1246  0.1246
O  0.1246  0.1246  0.1246

---

2.
Computed, not measured: a relaxed structure of Ti4Cu3O12 at the PBE-GGA level of DFT.

Summary:
Magnetic moment   0.006 μB per atom
E_tot   -142.0 eV for the cell shown
Crystal system   cubic
Formation energy from the elements   -2.472 eV per atom

Cell: 6.4075 6.4075 6.4075 Å, 109.47 109.47 109.47°
Fractional coordinates of all 19 atoms:
Ti  0.5000  0.5000  0.5000
Ti  0.0000  0.5000  0.0000
Ti  0.0000  0.0000  0.5000
Ti  0.5000  0.0000  0.0000
Cu  0.5000  0.5000  0.0000
Cu  0.5000  0.0000  0.5000
Cu  0.0000  0.5000  0.5000
O  0.3150  0.8232  0.1382
O  0.6850  0.1768  0.8618
O  0.6850  0.8232  0.5082
O  0.8618  0.6850  0.1768
O  0.8232  0.1382  0.3150
O  0.1768  0.4918  0.3150
O  0.4918  0.3150  0.1768
O  0.1768  0.8618  0.6850
O  0.3150  0.1768  0.4918
O  0.1382  0.3150  0.8232
O  0.8232  0.5082  0.6850
O  0.5082  0.6850  0.8232

---

3.
Computed, not measured: a relaxed structure of Ti3Cu3O at the PBE-GGA level of DFT.

Summary:
E_tot   -187.2 eV for the cell shown
Crystal system   cubic
Formation energy from the elements   -0.936 eV per atom

Cell: 7.9472 7.9472 7.9472 Å, 60.00 60.00 60.00°
Fractional coordinates of all 28 atoms:
Ti  0.9358  0.5642  0.5642
Ti  0.6858  0.3142  0.6858
Ti  0.9358  0.5642  0.9358
Ti  0.5642  0.9358  0.9358
Ti  0.3142  0.6858  0.3142
Ti  0.5642  0.9358  0.5642
Ti  0.6858  0.6858  0.3142
Ti  0.9358  0.9358  0.5642
Ti  0.3142  0.3142  0.6858
Ti  0.6858  0.3142  0.3142
Ti  0.5642  0.5642  0.9358
Ti  0.3142  0.6858  0.6858
Cu  0.2541  0.9153  0.9153
Cu  0.3347  0.3347  0.3347
Cu  0.3347  0.3347  0.9959
Cu  0.9153  0.2541  0.9153
Cu  0.9153  0.9153  0.9153
Cu  0.9959  0.3347  0.3347
Cu  0.9153  0.9153  0.2541
Cu  0.3347  0.9959  0.3347
Cu  0.1250  0.6250  0.1250
Cu  0.1250  0.1250  0.6250
Cu  0.6250  0.1250  0.1250
Cu  0.1250  0.1250  0.1250
O  0.6250  0.1250  0.6250
O  0.6250  0.6250  0.1250
O  0.1250  0.6250  0.6250
O  0.6250  0.6250  0.6250

---

4.
Computed, not measured: a relaxed structure of TiCuO3 at the PBE-GGA level of DFT.

Summary:
Magnetic moment   0.000 μB per atom
E_tot   -35.9 eV for the cell shown
Crystal system   tetragonal
Formation energy from the elements   -2.229 eV per atom

Cell: 4.0139 4.0139 3.7777 Å, 90.00 90.00 90.00°
Fractional coordinates of all 5 atoms:
Ti  0.5000  0.5000  0.5000
Cu  0.0000  0.0000  0.5000
O  0.5000  0.0000  0.5000
O  0.0000  0.5000  0.5000
O  0.5000  0.5000  0.0000

---

5.
Computed, not measured: a relaxed structure of TiCuO3 at the PBE-GGA level of DFT.

Summary:
Magnetic moment   0.200 μB per atom
E_tot   -34.5 eV for the cell shown
Crystal system   cubic
Formation energy from the elements   -1.936 eV per atom

Cell: 3.8508 3.8508 3.8508 Å, 90.00 90.00 90.00°
Fractional coordinates of all 5 atoms:
Ti  0.5000  0.5000  0.5000
Cu  0.0000  0.0000  0.0000
O  0.5000  0.5000  0.0000
O  0.5000  0.0000  0.5000
O  0.0000  0.5000  0.5000

---

6.
Computed, not measured: a relaxed structure of Ti4Cu2O at the PBE-GGA level of DFT.

Summary:
E_tot   -203.4 eV for the cell shown
Crystal system   cubic
Formation energy from the elements   -0.974 eV per atom
Offset from the most stable computed form   0.000 eV per atom

Cell: 8.0943 8.0943 8.0943 Å, 60.00 60.00 60.00°
Fractional coordinates of all 28 atoms:
Ti  0.8193  0.1807  0.8193
Ti  0.1807  0.8193  0.1807
Ti  0.4307  0.0693  0.4307
Ti  0.4307  0.0693  0.0693
Ti  0.0693  0.4307  0.4307
Ti  0.0693  0.4307  0.0693
Ti  0.1807  0.1807  0.8193
Ti  0.4307  0.4307  0.0693
Ti  0.1250  0.6250  0.6250
Ti  0.6250  0.6250  0.1250
Ti  0.6250  0.6250  0.6250
Ti  0.6250  0.1250  0.6250
Ti  0.1807  0.8193  0.8193
Ti  0.8193  0.1807  0.1807
Ti  0.0693  0.0693  0.4307
Ti  0.8193  0.8193  0.1807
Cu  0.4166  0.7503  0.4166
Cu  0.8334  0.8334  0.4997
Cu  0.8334  0.8334  0.8334
Cu  0.4997  0.8334  0.8334
Cu  0.4166  0.4166  0.4166
Cu  0.4166  0.4166  0.7503
Cu  0.8334  0.4997  0.8334
Cu  0.7503  0.4166  0.4166
O  0.1250  0.1250  0.6250
O  0.6250  0.1250  0.1250
O  0.1250  0.1250  0.1250
O  0.1250  0.6250  0.1250

---

7.
Computed, not measured: a relaxed structure of Tm2TiCuO6 at the PBE-GGA level of DFT.

Summary:
Magnetic moment   0.098 μB per atom
E_tot   -78.1 eV for the cell shown
Crystal system   hexagonal
Formation energy from the elements   -3.158 eV per atom

Cell: 3.5732 3.5732 11.2650 Å, 90.00 90.00 120.00°
Fractional coordinates of all 10 atoms:
Tm  0.0000  0.0000  0.7258
Tm  0.0000  0.0000  0.2742
Ti  0.6667  0.3333  0.0000
Cu  0.3333  0.6667  0.5000
O  0.6667  0.3333  0.8330
O  0.3333  0.6667  0.3318
O  0.0000  0.0000  0.0000
O  0.0000  0.0000  0.5000
O  0.3333  0.6667  0.6682
O  0.6667  0.3333  0.1670

---

8.
Computed, not measured: a relaxed structure of Y2TiCuO6 at the PBE-GGA level of DFT.

Summary:
Magnetic moment   0.103 μB per atom
E_tot   -81.5 eV for the cell shown
Crystal system   hexagonal
Formation energy from the elements   -3.096 eV per atom

Cell: 3.6338 3.6338 11.3410 Å, 90.00 90.00 59.99°
Fractional coordinates of all 10 atoms:
Y  0.0000  0.0000  0.2719
Y  0.0000  0.0000  0.7240
Ti  0.3334  0.3334  0.9979
Cu  0.6667  0.6667  0.4980
O  0.3333  0.3333  0.1622
O  0.6667  0.6667  0.6663
O  0.0000  0.0000  0.9981
O  0.9999  0.9999  0.4980
O  0.6667  0.6667  0.3298
O  0.3333  0.3333  0.8338

---

> Which of these has the highest E_tot?

number 5

---

> Look up the E_tot of the fifth one.

-34.5 eV for the cell shown